Entry 1:
Below is crystalline KTlCl3 at its relaxed geometry, with properties calculated at the PBE level.

Output
Magnetization in μB/f.u.: 0.0
ΔE_f in eV/atom: -1.588

Structure (CIF):
```
data_KTlCl3
_chemical_formula_sum 'K8 Tl8 Cl24'
_cell_length_a 11.218
_cell_length_b 11.218
_cell_length_c 11.218
_cell_angle_alpha 90.00
_cell_angle_beta 90.00
_cell_angle_gamma 90.00
_space_group_name_H-M_alt 'F m -3 m'
_space_group_IT_number 225
_space_group_name_Hall '-F 4 2 3'
loop_
_atom_site_label
_atom_site_type_symbol
_atom_site_fract_x
_atom_site_fract_y
_atom_site_fract_z
_atom_site_occupancy
K1 K 0.250 0.250 0.250 1
Tl1 Tl 0.000 0.000 0.000 1
Tl2 Tl 0.000 0.000 0.500 1
Cl1 Cl 0.000 0.000 0.235 1
```

***

Entry 2:
Below is crystalline KW3Cl9 at its relaxed geometry, with properties calculated at the PBE level.

Output
ΔE_f in eV/atom: -1.374

Structure (CIF):
```
data_KW3Cl9
_chemical_formula_sum 'K2 W6 Cl18'
_cell_length_a 9.5379
_cell_length_b 9.5379
_cell_length_c 8.5570
_cell_angle_alpha 90.00
_cell_angle_beta 90.00
_cell_angle_gamma 120.00
_space_group_name_H-M_alt 'P -3 1 m'
_space_group_IT_number 162
_space_group_name_Hall '-P 3 2'
loop_
_atom_site_label
_atom_site_type_symbol
_atom_site_fract_x
_atom_site_fract_y
_atom_site_fract_z
_atom_site_occupancy
K1 K 0.3333 0.6667 0.0000 1
W1 W 0.0000 0.1795 0.3719 1
Cl1 Cl 0.0000 0.2024 0.8133 1
Cl2 Cl 0.0000 0.3902 0.1960 1
Cl3 Cl 0.2088 0.4176 0.5000 1
```

***

Entry 3:
Below is crystalline KWCl6 at its relaxed geometry, with properties calculated at the PBE level.

Output
ΔE_f in eV/atom: -1.594

Structure (CIF):
```
data_KWCl6
_chemical_formula_sum 'K4 W4 Cl24'
_cell_length_a 12.089
_cell_length_b 6.404
_cell_length_c 12.290
_cell_angle_alpha 90.00
_cell_angle_beta 101.74
_cell_angle_gamma 90.00
_space_group_name_H-M_alt 'C 1 2/c 1'
_space_group_IT_number 15
loop_
_space_group_symop_operation_xyz
'x,y,z'
'-x,-y,-z'
'-x,y,-z+1/2'
'x,-y,z+1/2'
'x+1/2,y+1/2,z'
'-x+1/2,-y+1/2,-z'
'-x+1/2,y+1/2,-z+1/2'
'x+1/2,-y+1/2,z+1/2'
loop_
_atom_site_label
_atom_site_type_symbol
_atom_site_fract_x
_atom_site_fract_y
_atom_site_fract_z
_atom_site_occupancy
K1 K 0.000 0.118 0.250 1
W1 W 0.250 0.250 0.000 1
Cl1 Cl 0.080 0.382 0.896 1
Cl2 Cl 0.154 0.049 0.541 1
Cl3 Cl 0.214 0.414 0.160 1
```

***

Entry 4:
Below is crystalline K3YCl6 at its relaxed geometry, with properties calculated at the PBE level.

Output
ΔE_f in eV/atom: -2.488

Structure (CIF):
```
data_K3YCl6
_chemical_formula_sum 'K24 Y8 Cl48'
_cell_length_a 25.297
_cell_length_b 7.780
_cell_length_c 12.776
_cell_angle_alpha 90.00
_cell_angle_beta 98.77
_cell_angle_gamma 90.00
_space_group_name_H-M_alt 'C 1 2/c 1'
_space_group_IT_number 15
loop_
_space_group_symop_operation_xyz
'x,y,z'
'-x,-y,-z'
'-x,y,-z+1/2'
'x,-y,z+1/2'
'x+1/2,y+1/2,z'
'-x+1/2,-y+1/2,-z'
'-x+1/2,y+1/2,-z+1/2'
'x+1/2,-y+1/2,z+1/2'
loop_
_atom_site_label
_atom_site_type_symbol
_atom_site_fract_x
_atom_site_fract_y
_atom_site_fract_z
_atom_site_occupancy
K1 K 0.051 0.247 0.436 1
K2 K 0.155 0.313 0.143 1
K3 K 0.162 0.189 0.803 1
Y1 Y 0.000 0.212 0.750 1
Y2 Y 0.250 0.250 0.500 1
Cl1 Cl 0.056 0.222 0.941 1
Cl2 Cl 0.063 0.436 0.673 1
Cl3 Cl 0.064 0.045 0.211 1
Cl4 Cl 0.170 0.456 0.422 1
Cl5 Cl 0.175 0.028 0.531 1
Cl6 Cl 0.249 0.392 0.690 1
```

***

Entry 5:
Below is crystalline K3YCl6 at its relaxed geometry, with properties calculated at the PBE level.

Output
ΔE_f in eV/atom: -2.489

Structure (CIF):
```
data_K3YCl6
_chemical_formula_sum 'K12 Y4 Cl24'
_cell_length_a 13.235
_cell_length_b 7.819
_cell_length_c 12.682
_cell_angle_alpha 90.00
_cell_angle_beta 108.57
_cell_angle_gamma 90.00
_space_group_name_H-M_alt 'P 1 21/c 1'
_space_group_IT_number 14
loop_
_space_group_symop_operation_xyz
'x,y,z'
'-x,-y,-z'
'-x,y+1/2,-z+1/2'
'x,-y+1/2,z+1/2'
loop_
_atom_site_label
_atom_site_type_symbol
_atom_site_fract_x
_atom_site_fract_y
_atom_site_fract_z
_atom_site_occupancy
K1 K 0.099 0.032 0.360 1
K2 K 0.315 0.565 0.266 1
K3 K 0.320 0.065 0.113 1
Y1 Y 0.000 0.000 0.000 1
Y2 Y 0.500 0.000 0.500 1
Cl1 Cl 0.102 0.216 0.597 1
Cl2 Cl 0.119 0.502 0.371 1
Cl3 Cl 0.139 0.682 0.655 1
Cl4 Cl 0.345 0.709 0.005 1
Cl5 Cl 0.347 0.216 0.392 1
Cl6 Cl 0.500 0.143 0.692 1
```

***

Entry 6:
Below is crystalline K3YCl6 at its relaxed geometry, with properties calculated at the PBE level.

Output
Magnetization in μB/f.u.: 0.0
ΔE_f in eV/atom: -2.423

Structure (CIF):
```
data_K3YCl6
_chemical_formula_sum 'K12 Y4 Cl24'
_cell_length_a 11.225
_cell_length_b 11.225
_cell_length_c 11.225
_cell_angle_alpha 90.00
_cell_angle_beta 90.00
_cell_angle_gamma 90.00
_space_group_name_H-M_alt 'F m -3 m'
_space_group_IT_number 225
_space_group_name_Hall '-F 4 2 3'
loop_
_atom_site_label
_atom_site_type_symbol
_atom_site_fract_x
_atom_site_fract_y
_atom_site_fract_z
_atom_site_occupancy
K1 K 0.000 0.000 0.000 1
K2 K 0.250 0.250 0.250 1
Y1 Y 0.000 0.000 0.500 1
Cl1 Cl 0.000 0.000 0.265 1
```

***

Entry 7:
Below is crystalline K6Zn3Cl10 at its relaxed geometry, with properties calculated at the PBE level.

Output
Magnetization in μB/f.u.: 2.0
ΔE_f in eV/atom: -1.771

Structure (CIF):
```
data_K6Zn3Cl10
_chemical_formula_sum 'K24 Zn12 Cl40'
_cell_length_a 27.158
_cell_length_b 12.449
_cell_length_c 7.226
_cell_angle_alpha 90.00
_cell_angle_beta 90.00
_cell_angle_gamma 90.00
_space_group_name_H-M_alt 'P n a 21'
_space_group_IT_number 33
loop_
_space_group_symop_operation_xyz
'x,y,z'
'-x,-y,z+1/2'
'-x+1/2,y+1/2,z+1/2'
'x+1/2,-y+1/2,z'
loop_
_atom_site_label
_atom_site_type_symbol
_atom_site_fract_x
_atom_site_fract_y
_atom_site_fract_z
_atom_site_occupancy
K1 K 0.000 0.178 0.411 1
K2 K 0.043 0.425 0.931 1
K3 K 0.119 0.916 0.457 1
K4 K 0.167 0.311 0.479 1
K5 K 0.167 0.679 0.967 1
K6 K 0.209 0.084 0.000 1
Zn1 Zn 0.074 0.096 0.939 1
Zn2 Zn 0.095 0.580 0.435 1
Zn3 Zn 0.246 0.410 0.939 1
Cl1 Cl 0.008 0.943 0.535 1
Cl2 Cl 0.056 0.415 0.409 1
Cl3 Cl 0.063 0.692 0.213 1
Cl4 Cl 0.069 0.648 0.711 1
Cl5 Cl 0.110 0.141 0.239 1
Cl6 Cl 0.117 0.926 0.905 1
Cl7 Cl 0.160 0.423 0.891 1
Cl8 Cl 0.177 0.566 0.395 1
Cl9 Cl 0.221 0.080 0.553 1
Cl10 Cl 0.244 0.794 0.698 1
```

***

Entry 8:
Below is crystalline K2Zr7Cl18 at its relaxed geometry, with properties calculated at the PBE level.

Output
ΔE_f in eV/atom: -2.111

Structure (CIF):
```
data_K2Zr7Cl18
_chemical_formula_sum 'K6 Zr21 Cl54'
_cell_length_a 9.6875
_cell_length_b 9.6875
_cell_length_c 26.2714
_cell_angle_alpha 90.00
_cell_angle_beta 90.00
_cell_angle_gamma 120.00
_space_group_name_H-M_alt 'R -3'
_space_group_IT_number 148
_space_group_name_Hall '-R 3'
loop_
_atom_site_label
_atom_site_type_symbol
_atom_site_fract_x
_atom_site_fract_y
_atom_site_fract_z
_atom_site_occupancy
K1 K 0.0000 0.0000 0.2235 1
Zr1 Zr 0.0000 0.0000 0.5000 1
Zr2 Zr 0.0499 0.8384 0.0487 1
Cl1 Cl 0.0308 0.8046 0.4449 1
Cl2 Cl 0.0468 0.8020 0.6690 1
Cl3 Cl 0.0553 0.8193 0.8879 1
```

***

Entry 9:
Below is crystalline LaCl at its relaxed geometry, with properties calculated at the PBE level.

Output
Magnetization in μB/f.u.: 0.9
ΔE_f in eV/atom: -1.794

Structure (CIF):
```
data_LaCl
_chemical_formula_sum 'La6 Cl6'
_cell_length_a 4.0830
_cell_length_b 4.0830
_cell_length_c 32.5245
_cell_angle_alpha 90.00
_cell_angle_beta 90.00
_cell_angle_gamma 120.00
_space_group_name_H-M_alt 'R -3 m'
_space_group_IT_number 166
_space_group_name_Hall '-R 3 2"'
loop_
_atom_site_label
_atom_site_type_symbol
_atom_site_fract_x
_atom_site_fract_y
_atom_site_fract_z
_atom_site_occupancy
La1 La 0.0000 0.0000 0.2126 1
Cl1 Cl 0.0000 0.0000 0.4008 1
```

***

Entry 10:
Below is crystalline Na2LiLaCl6 at its relaxed geometry, with properties calculated at the PBE level.

Output
Magnetization in μB/f.u.: 0.0
ΔE_f in eV/atom: -2.241

Structure (CIF):
```
data_Na2LiLaCl6
_chemical_formula_sum 'Na8 Li4 La4 Cl24'
_cell_length_a 10.555
_cell_length_b 10.555
_cell_length_c 10.555
_cell_angle_alpha 90.00
_cell_angle_beta 90.00
_cell_angle_gamma 90.00
_space_group_name_H-M_alt 'F m -3 m'
_space_group_IT_number 225
_space_group_name_Hall '-F 4 2 3'
loop_
_atom_site_label
_atom_site_type_symbol
_atom_site_fract_x
_atom_site_fract_y
_atom_site_fract_z
_atom_site_occupancy
Na1 Na 0.250 0.250 0.250 1
Li1 Li 0.000 0.000 0.000 1
La1 La 0.000 0.000 0.500 1
Cl1 Cl 0.000 0.000 0.240 1
```

***

Entry 11:
Below is crystalline Rb2LiLaCl6 at its relaxed geometry, with properties calculated at the PBE level.

Output
Magnetization in μB/f.u.: 0.0
ΔE_f in eV/atom: -2.471

Structure (CIF):
```
data_Rb2LiLaCl6
_chemical_formula_sum 'Rb8 Li4 La4 Cl24'
_cell_length_a 10.730
_cell_length_b 10.730
_cell_length_c 10.730
_cell_angle_alpha 90.00
_cell_angle_beta 90.00
_cell_angle_gamma 90.00
_space_group_name_H-M_alt 'F m -3 m'
_space_group_IT_number 225
_space_group_name_Hall '-F 4 2 3'
loop_
_atom_site_label
_atom_site_type_symbol
_atom_site_fract_x
_atom_site_fract_y
_atom_site_fract_z
_atom_site_occupancy
Rb1 Rb 0.250 0.250 0.250 1
Li1 Li 0.000 0.000 0.000 1
La1 La 0.000 0.000 0.500 1
Cl1 Cl 0.000 0.000 0.242 1
```

***

Entry 12:
Below is crystalline La2NCl3 at its relaxed geometry, with properties calculated at the PBE level.

Output
ΔE_f in eV/atom: -2.522

Structure (CIF):
```
data_La2NCl3
_chemical_formula_sum 'La8 N4 Cl12'
_cell_length_a 6.986
_cell_length_b 13.895
_cell_length_c 6.215
_cell_angle_alpha 90.00
_cell_angle_beta 90.00
_cell_angle_gamma 90.00
_space_group_name_H-M_alt 'I b a m'
_space_group_IT_number 72
_space_group_name_Hall '-I 2 2c'
loop_
_atom_site_label
_atom_site_type_symbol
_atom_site_fract_x
_atom_site_fract_y
_atom_site_fract_z
_atom_site_occupancy
La1 La 0.176 0.093 0.000 1
N1 N 0.000 0.000 0.250 1
Cl1 Cl 0.000 0.500 0.250 1
Cl2 Cl 0.186 0.198 0.500 1
```

***

Entry 13:
Below is crystalline La4S3NCl3 at its relaxed geometry, with properties calculated at the PBE level.

Output
Maximum piezoelectric response in C/m2: 0.27
ΔE_f in eV/atom: -2.528

Structure (CIF):
```
data_La4S3NCl3
_chemical_formula_sum 'La8 S6 N2 Cl6'
_cell_length_a 9.4753
_cell_length_b 9.4753
_cell_length_c 7.0324
_cell_angle_alpha 90.00
_cell_angle_beta 90.00
_cell_angle_gamma 120.00
_space_group_name_H-M_alt 'P 63 m c'
_space_group_IT_number 186
_space_group_name_Hall 'P 6c -2c'
loop_
_atom_site_label
_atom_site_type_symbol
_atom_site_fract_x
_atom_site_fract_y
_atom_site_fract_z
_atom_site_occupancy
La1 La 0.2014 0.4027 0.0000 1
La2 La 0.3333 0.6667 0.4602 1
S1 S 0.0635 0.5317 0.7210 1
N1 N 0.3333 0.6667 0.1148 1
Cl1 Cl 0.1319 0.2638 0.3914 1
```